[1]
Tm2I2F | PBE | optimized geometry

a = 4.0346 Å, b = 4.0346 Å, c = 13.9360 Å
α = 90.00°, β = 90.00°, γ = 90.00°
Positions (direct):
I1 0.5000 0.5000 0.6494
I2 0.5000 0.5000 0.3506
F1 0.5000 0.5000 0.0000
Tm1 0.5000 0.5000 0.1539
Tm2 0.5000 0.5000 0.8461

Calculated values
Total magnetization, μB/f.u.: 0.06
SG: No. 123


[2]
CaAl2SiO6 | PBE | optimized geometry

a = 5.3338 Å, b = 8.7431 Å, c = 9.7051 Å
α = 89.61°, β = 74.62°, γ = 89.32°
Positions (direct):
Al1 0.2469 0.0906 0.0022
Al2 0.7770 0.5914 0.4928
Al3 0.7501 0.9083 0.0049
Al4 0.0768 0.4036 0.2149
Al5 0.9247 0.5974 0.7867
Al6 0.2482 0.4076 0.5015
Al7 0.9206 0.9051 0.2891
Al8 0.4164 0.1001 0.2884
O1 0.5093 0.4190 0.6119
O2 0.1318 0.4740 0.8570
O3 0.4797 0.9131 0.8895
O4 0.0330 0.5780 0.5993
O5 0.0624 0.2553 0.6343
O6 0.5009 0.5870 0.3894
O7 0.0200 0.9230 0.0983
O8 0.8686 0.5250 0.1433
O9 0.9837 0.0870 0.8882
O10 0.4485 0.2324 0.8567
O11 0.6088 0.9774 0.3642
O12 0.9644 0.7277 0.3641
O13 0.5764 0.7399 0.6333
O14 0.9378 0.7688 0.8738
O15 0.6170 0.5117 0.8537
O16 0.3534 0.0069 0.6540
O17 0.5545 0.7654 0.1399
O18 0.3830 0.4899 0.1481
O19 0.5202 0.0770 0.0960
O20 0.0628 0.2357 0.1231
O21 0.4484 0.2763 0.3681
O22 0.9764 0.4147 0.4030
O23 0.8538 0.9875 0.6552
O24 0.1075 0.0274 0.3648
Ca1 0.7517 0.1881 0.4889
Ca2 0.7479 0.3113 0.0039
Ca3 0.2629 0.8121 0.4845
Ca4 0.2384 0.6891 0.0043
Si1 0.4242 0.4023 0.7895
Si2 0.0654 0.0933 0.7136
Si3 0.5781 0.5977 0.2114
Si4 0.5685 0.9016 0.7142

Calculated values
Total magnetization, μB/f.u.: 0.00
Distance to the lowest polymorph of the same formula, meV per atom: 17
SG: No. 1


[3]
SbClF10 | PBE | optimized geometry

a = 5.9996 Å, b = 8.3717 Å, c = 15.4388 Å
α = 90.00°, β = 90.00°, γ = 90.00°
Positions (direct):
F1 0.0892 0.5229 0.6464
F2 0.0892 0.0229 0.8536
F3 0.4103 0.4499 0.1568
F4 0.5897 0.0501 0.6568
F5 0.1047 0.2500 0.4548
F6 0.8048 0.7500 0.8996
F7 0.5897 0.5501 0.8432
F8 0.9108 0.9771 0.1464
F9 0.4049 0.7500 0.9137
F10 0.4103 0.9499 0.3432
F11 0.9108 0.4771 0.3536
F12 0.5951 0.7500 0.4137
F13 0.8953 0.2500 0.9548
F14 0.6486 0.2500 0.4290
F15 0.7163 0.7500 0.2452
F16 0.7163 0.2500 0.2548
F17 0.8346 0.7500 0.7210
F18 0.1952 0.2500 0.1004
F19 0.3514 0.7500 0.5710
F20 0.1047 0.7500 0.0452
F21 0.0892 0.9771 0.6464
F22 0.0892 0.4771 0.8536
F23 0.1654 0.7500 0.2210
F24 0.4103 0.5501 0.3432
F25 0.5897 0.4499 0.6568
F26 0.4049 0.2500 0.5863
F27 0.1654 0.2500 0.2790
F28 0.8048 0.2500 0.6004
F29 0.8346 0.2500 0.7790
F30 0.6486 0.7500 0.0710
F31 0.9108 0.5229 0.1464
F32 0.3514 0.2500 0.9290
F33 0.8953 0.7500 0.5452
F34 0.5951 0.2500 0.0863
F35 0.5897 0.9499 0.8432
F36 0.2837 0.2500 0.7548
F37 0.9108 0.0229 0.3536
F38 0.1952 0.7500 0.3996
F39 0.2837 0.7500 0.7452
F40 0.4103 0.0501 0.1568
Sb1 0.9081 0.2500 0.3578
Sb2 0.0919 0.2500 0.8578
Sb3 0.9081 0.7500 0.1422
Sb4 0.0919 0.7500 0.6422
Cl1 0.5890 0.2500 0.6607
Cl2 0.4110 0.7500 0.3393
Cl3 0.4110 0.2500 0.1607
Cl4 0.5890 0.7500 0.8393

Calculated values
SG: No. 57


| no. | calculated formation energy (kJ/mol of atoms) |
| --- | --- |
| 1 | -115 |
| 2 | -329 |
| 3 | -173 |